## MgCo2P2O8 (PBE with a Hubbard U)

Data for crystalline MgCo2P2O8 at its relaxed geometry.

Geometry as POSCAR:
```
MgCo2P2O8
1.0
-1.3153 4.6936 -0.6984
-3.3353 1.5148 3.2907
4.6964 1.8946 3.8880
O Mg Co P
8 1 2 2
direct
0.7720 0.3047 0.7500
0.3047 0.7720 0.7500
0.2441 0.2441 0.4480
0.6959 0.2422 0.2500
0.7544 0.7544 0.9514
0.2441 0.2441 0.0520
0.2422 0.6959 0.2500
0.7544 0.7544 0.5486
0.6792 0.6792 0.2500
0.0063 0.0063 0.5163
0.0063 0.0063 0.9837
0.3460 0.3460 0.2500
0.6449 0.6449 0.7500
```

Values from the calculation:
The energy above the most stable polymorph in this dataset comes out at 0.1695 eV per atom. As for the magnetic moment: 6.00 Bohr magnetons per cell. The energy relative to the elements comes out at -2.308 eV per atom. The total DFT energy (no corrections) is -6.7272 eV per atom.